Record 1
Below is crystalline YH3 at its relaxed geometry, with properties calculated at the PBE level.

It has space group P6_3/mmc (No. 194), with a = 3.6209 Å, b = 3.6209 Å, c = 6.1266 Å, α = 90.00°, β = 90.00° and γ = 120.00°. The inequivalent atoms are Y at (0.3333, 0.6667, 0.2500), H at (0.0000, 0.0000, 0.0000) and H at (0.3333, 0.6667, 0.5971).

Record 2
Below is crystalline InP3O12 at its relaxed geometry, with properties calculated at the PBE level.

It has space group P6_3 (No. 173), with a = 8.8099 Å, b = 8.8099 Å, c = 7.3396 Å, α = 90.00°, β = 90.00° and γ = 120.00°. The inequivalent atoms are In at (0.3333, 0.6667, 0.0000), P at (0.0503, 0.6800, 0.6610), O at (0.0267, 0.1966, 0.1349), O at (0.1007, 0.5107, 0.1618), O at (0.1662, 0.7264, 0.4876) and O at (0.1680, 0.7268, 0.8285).

Record 3
Below is crystalline U2ReB6 at its relaxed geometry, with properties calculated at the PBE level.

It has space group Pbam (No. 55), with a = 9.268 Å, b = 11.352 Å, c = 3.640 Å, α = 90.00°, β = 90.00° and γ = 90.00°. The inequivalent atoms are U at (0.044, 0.105, 0.000), U at (0.164, 0.408, 0.000), Re at (0.143, 0.680, 0.000), B at (0.016, 0.281, 0.500), B at (0.049, 0.567, 0.500), B at (0.143, 0.812, 0.500), B at (0.143, 0.961, 0.500), B at (0.198, 0.228, 0.500) and B at (0.242, 0.577, 0.500).

Record 4
Below is crystalline K2RbAsI6 at its relaxed geometry, with properties calculated at the PBE level.

It has space group Fm-3m (No. 225), with a = 12.640 Å, b = 12.640 Å, c = 12.640 Å, α = 90.00°, β = 90.00° and γ = 90.00°. The inequivalent atoms are K at (0.250, 0.250, 0.250), Rb at (0.000, 0.000, 0.000), As at (0.000, 0.000, 0.500) and I at (0.000, 0.000, 0.273).

| no. | formation energy (eV/atom) | E_tot (eV/atom) |
| --- | --- | --- |
| 1 | -0.54 | -4.5713 |
| 2 | -1.76 | -6.1410 |
| 3 | -0.57 | -8.9113 |
| 4 | -1.09 | -2.5609 |